A plane-wave DFT calculation with PBE was carried out for a geometry-optimized NaMg14SbO16 structure.

Summary:
The value obtained for the formation energy is -2.799 eV/atom. The calculation puts the total DFT energy (no corrections) at -5.80 eV per atom.

Cell lengths 8.678, 8.678, 4.365 Å; angles 90.00, 90.00, 90.00 degrees
Positions (direct):
Na: 0.000 0.000 0.000
Mg: 0.000 0.500 0.000
Mg: 0.500 0.000 0.000
Mg: 0.000 0.244 0.500
Mg: 0.000 0.756 0.500
Mg: 0.500 0.235 0.500
Mg: 0.500 0.765 0.500
Mg: 0.244 0.000 0.500
Mg: 0.235 0.500 0.500
Mg: 0.756 0.000 0.500
Mg: 0.765 0.500 0.500
Mg: 0.240 0.240 0.000
Mg: 0.240 0.760 0.000
Mg: 0.760 0.240 0.000
Mg: 0.760 0.760 0.000
Sb: 0.500 0.500 0.000
O: 0.264 0.000 0.000
O: 0.240 0.500 0.000
O: 0.736 0.000 0.000
O: 0.760 0.500 0.000
O: 0.253 0.253 0.500
O: 0.253 0.747 0.500
O: 0.747 0.253 0.500
O: 0.747 0.747 0.500
O: 0.000 0.000 0.500
O: 0.000 0.500 0.500
O: 0.500 0.000 0.500
O: 0.500 0.500 0.500
O: 0.000 0.264 0.000
O: 0.000 0.736 0.000
O: 0.500 0.240 0.000
O: 0.500 0.760 0.000